Computed, not measured: Li5Fe2P2C2O14 after structural relaxation at the PBE with a Hubbard U level of DFT.

Results
Total magnetization   9.0 μB/f.u.
E above lowest polymorph   5 meV/atom
Corrected total energy (MP2020 scheme)   -365.6 eV per cell
Energy of formation   -2.31 eV/atom
E   -337.3 eV per cell

POSCAR file:
```
Li5Fe2P2C2O14
1.0
-0.009 -2.954 -5.790
-7.540 -5.019 2.573
-9.075 3.988 -2.020
O P C Li Fe
28 4 4 10 4
Direct
0.067 0.304 0.438 O
0.246 0.117 0.264 O
0.742 0.171 0.159 O
0.777 0.907 0.238 O
0.279 0.442 0.563 O
0.253 0.933 0.507 O
0.753 0.067 0.493 O
0.725 0.421 0.714 O
0.936 0.694 0.058 O
0.562 0.690 0.046 O
0.718 0.144 0.671 O
0.277 0.093 0.762 O
0.746 0.883 0.736 O
0.779 0.558 0.437 O
0.440 0.319 0.412 O
0.567 0.696 0.562 O
0.242 0.829 0.841 O
0.755 0.424 0.204 O
0.754 0.080 0.992 O
0.254 0.920 0.008 O
0.940 0.681 0.588 O
0.225 0.579 0.286 O
0.255 0.576 0.796 O
0.218 0.856 0.329 O
0.262 0.451 0.075 O
0.062 0.310 0.954 O
0.762 0.549 0.925 O
0.436 0.306 0.942 O
0.753 0.584 0.064 P
0.253 0.415 0.425 P
0.253 0.416 0.936 P
0.753 0.585 0.575 P
0.758 0.046 0.133 C
0.239 0.970 0.366 C
0.739 0.030 0.634 C
0.258 0.954 0.867 C
0.959 0.720 0.273 Li
0.487 0.270 0.240 Li
0.247 0.088 0.075 Li
0.747 0.912 0.925 Li
0.012 0.270 0.243 Li
0.987 0.730 0.760 Li
0.459 0.280 0.727 Li
0.245 0.106 0.559 Li
0.745 0.894 0.441 Li
0.512 0.730 0.757 Li
0.257 0.669 0.070 Fe
0.753 0.332 0.446 Fe
0.253 0.668 0.554 Fe
0.757 0.331 0.930 Fe
```